# Lu3AlO6 PBE relaxed
data_Lu3AlO6
_chemical_formula_sum 'Lu18 Al6 O36'
_cell_length_a 9.0627
_cell_length_b 9.0627
_cell_length_c 10.5197
_cell_angle_alpha 90.00
_cell_angle_beta 90.00
_cell_angle_gamma 120.00
_space_group_name_H-M_alt 'R -3'
_space_group_IT_number 148
_space_group_name_Hall '-R 3'
loop_
_atom_site_label
_atom_site_type_symbol
_atom_site_fract_x
_atom_site_fract_y
_atom_site_fract_z
Lu1 Lu 0.0416 0.2673 0.2048
Al1 Al 0.0000 0.0000 0.0000
Al2 Al 0.0000 0.0000 0.5000
O1 O 0.0275 0.1822 0.8872
O2 O 0.0266 0.1995 0.4032
# * V: 125 Å³/f.u.
# * energy above the most stable polymorph in this dataset: 0 meV/atom
# * E_form: -3937 meV per atom
# * E_tot: -8.225 eV/atom